# 1
## MgVMoO5 (PBE+U)

Data for a relaxed MgVMoO5 crystal.

Summary:
Space group   Cm, No. 8
Calculated density   4.19 Mg/m³

Lattice parameters (Å, degrees): 5.376 5.376 6.834 129.21 129.21 43.45
Sites, in units of the cell vectors:
Mg: 0.000 0.000 0.000
V: 0.648 0.648 0.394
Mo: 0.494 0.494 0.648
O: 0.196 0.196 0.407
O: 0.433 0.433 0.289
O: 0.563 0.563 0.033
O: 0.731 0.731 0.768
O: 0.938 0.938 0.644



# 2
## V4Fe2O13 (PBE+U)

Data for a relaxed V4Fe2O13 crystal.

Summary:
Space group   P2_1/c, No. 14
Calculated density   2.92 Mg/m³

Lattice parameters (Å, degrees): 8.597 9.561 14.899 90.00 103.85 90.00
Sites, in units of the cell vectors:
V: 0.014 0.241 0.426
V: 0.014 0.259 0.926
V: 0.219 0.221 0.657
V: 0.219 0.279 0.157
V: 0.291 0.702 0.340
V: 0.291 0.798 0.840
V: 0.378 0.747 0.574
V: 0.378 0.753 0.074
V: 0.622 0.247 0.926
V: 0.622 0.253 0.426
V: 0.709 0.202 0.160
V: 0.709 0.298 0.660
V: 0.781 0.721 0.843
V: 0.781 0.779 0.343
V: 0.986 0.741 0.074
V: 0.986 0.759 0.574
Fe: 0.061 0.002 0.254
Fe: 0.061 0.498 0.754
Fe: 0.444 0.000 0.270
Fe: 0.444 0.500 0.770
Fe: 0.556 0.000 0.730
Fe: 0.556 0.500 0.230
Fe: 0.939 0.502 0.246
Fe: 0.939 0.998 0.746
O: 0.016 0.610 0.637
O: 0.016 0.890 0.137
O: 0.089 0.115 0.369
O: 0.089 0.385 0.869
O: 0.094 0.112 0.696
O: 0.094 0.388 0.196
O: 0.104 0.634 0.319
O: 0.104 0.866 0.819
O: 0.142 0.232 0.038
O: 0.142 0.268 0.538
O: 0.178 0.684 0.060
O: 0.178 0.816 0.560
O: 0.244 0.119 0.219
O: 0.244 0.381 0.719
O: 0.264 0.618 0.806
O: 0.264 0.882 0.306
O: 0.390 0.688 0.461
O: 0.390 0.812 0.961
O: 0.396 0.614 0.275
O: 0.396 0.886 0.775
O: 0.400 0.143 0.667
O: 0.400 0.357 0.167
O: 0.406 0.611 0.649
O: 0.406 0.889 0.149
O: 0.493 0.120 0.386
O: 0.493 0.380 0.886
O: 0.507 0.620 0.114
O: 0.507 0.880 0.614
O: 0.594 0.111 0.851
O: 0.594 0.389 0.351
O: 0.600 0.643 0.833
O: 0.600 0.857 0.333
O: 0.604 0.114 0.225
O: 0.604 0.386 0.725
O: 0.610 0.188 0.039
O: 0.610 0.312 0.539
O: 0.736 0.118 0.694
O: 0.736 0.382 0.194
O: 0.756 0.619 0.281
O: 0.756 0.881 0.781
O: 0.822 0.184 0.440
O: 0.822 0.316 0.940
O: 0.858 0.732 0.462
O: 0.858 0.768 0.962
O: 0.896 0.134 0.181
O: 0.896 0.366 0.681
O: 0.906 0.612 0.804
O: 0.906 0.888 0.304
O: 0.911 0.615 0.131
O: 0.911 0.885 0.631
O: 0.984 0.110 0.863
O: 0.984 0.390 0.363



# 3
## NbVO5 (PBE+U)

Data for a relaxed NbVO5 crystal.

Summary:
Space group   P2_1/c, No. 14
Calculated density   3.13 Mg/m³

Lattice parameters (Å, degrees): 13.979 5.577 14.076 90.00 119.91 90.00
Sites, in units of the cell vectors:
Nb: 0.059 0.242 0.202
Nb: 0.059 0.258 0.702
Nb: 0.441 0.747 0.642
Nb: 0.441 0.753 0.142
Nb: 0.559 0.247 0.858
Nb: 0.559 0.253 0.358
Nb: 0.941 0.742 0.298
Nb: 0.941 0.758 0.798
V: 0.154 0.734 0.092
V: 0.154 0.766 0.592
V: 0.346 0.240 0.938
V: 0.346 0.260 0.438
V: 0.654 0.740 0.562
V: 0.654 0.760 0.062
V: 0.846 0.234 0.408
V: 0.846 0.266 0.908
O: 0.009 0.533 0.241
O: 0.009 0.967 0.741
O: 0.075 0.742 0.449
O: 0.075 0.758 0.949
O: 0.116 0.545 0.651
O: 0.116 0.955 0.151
O: 0.133 0.042 0.632
O: 0.133 0.458 0.132
O: 0.205 0.246 0.337
O: 0.205 0.254 0.837
O: 0.295 0.730 0.632
O: 0.295 0.770 0.132
O: 0.374 0.040 0.534
O: 0.374 0.460 0.034
O: 0.376 0.537 0.501
O: 0.376 0.963 0.001
O: 0.426 0.216 0.376
O: 0.426 0.284 0.876
O: 0.499 0.026 0.236
O: 0.499 0.474 0.736
O: 0.501 0.526 0.264
O: 0.501 0.974 0.764
O: 0.574 0.716 0.124
O: 0.574 0.784 0.624
O: 0.624 0.037 0.999
O: 0.624 0.463 0.499
O: 0.626 0.540 0.966
O: 0.626 0.960 0.466
O: 0.705 0.230 0.868
O: 0.705 0.270 0.368
O: 0.795 0.746 0.163
O: 0.795 0.754 0.663
O: 0.867 0.542 0.868
O: 0.867 0.958 0.368
O: 0.884 0.045 0.849
O: 0.884 0.455 0.349
O: 0.925 0.242 0.051
O: 0.925 0.258 0.551
O: 0.991 0.033 0.259
O: 0.991 0.467 0.759



# 4
## LiFe8O12 (PBE+U)

Data for a relaxed LiFe8O12 crystal.

Summary:
Space group   P2, No. 3
Calculated density   4.67 Mg/m³

Lattice parameters (Å, degrees): 5.825 5.213 7.635 90.00 98.36 90.00
Sites, in units of the cell vectors:
Li: 0.000 0.000 0.000
Fe: 0.158 0.980 0.390
Fe: 0.291 0.492 0.080
Fe: 0.309 0.482 0.582
Fe: 0.458 0.985 0.780
Fe: 0.542 0.985 0.220
Fe: 0.691 0.482 0.418
Fe: 0.709 0.492 0.920
Fe: 0.842 0.980 0.610
O: 0.000 0.352 0.000
O: 0.000 0.677 0.500
O: 0.170 0.132 0.641
O: 0.214 0.836 0.169
O: 0.356 0.297 0.329
O: 0.362 0.638 0.834
O: 0.500 0.186 0.000
O: 0.500 0.811 0.500
O: 0.638 0.638 0.166
O: 0.644 0.297 0.671
O: 0.786 0.836 0.831
O: 0.830 0.132 0.359



| no. | polymorph energy (0 for the lowest one) (meV/atom) |
| --- | --- |
| 1 | 22 |
| 2 | 4 |
| 3 | 2 |
| 4 | 77 |